*A*
Below is a geometry-optimized Nb2O5 structure, with properties calculated at the r²SCAN level.

Cell: 29.0031 3.8374 17.8572 Å, 90.00 125.06 90.00°
Closest atoms and distances in Å follow each position.
Space group C2/m (No. 12)
One atom of each set of equivalent atoms:
Nb1 0.0205 0.0000 0.3706 x4  5 O 1.90-2.09
Nb2 0.0614 0.0000 0.1012 x4  4 O 1.80-2.00
Nb3 0.0748 0.0000 0.9025 x4  2 O 1.77-1.92
Nb4 0.1123 0.0000 0.6335 x4  4 O 1.91-1.94
Nb5 0.1551 0.0000 0.3714 x4  4 O 1.81-2.00
Nb6 0.1580 0.5000 0.0999 x4  2 O 1.81-1.82
Nb7 0.2078 0.0000 0.9024 x4  4 O 1.79-2.00
Nb8 0.2479 0.0000 0.6331 x4  4 O 1.80-2.00
O1 0.0151 0.0000 0.9404 x4  1 Nb 1.89
O2 0.0192 0.5000 0.3524 x4  2 Nb 1.94
O3 0.0241 0.0000 0.7822 x4  1 Nb 1.77
O4 0.0521 0.0000 0.6481 x4  2 Nb 1.91-1.93
O5 0.0654 0.0000 0.5006 x4  2 Nb 1.90-1.94
O6 0.0744 0.5000 0.0881 x4  2 Nb 2.00
O7 0.0885 0.5000 0.9449 x4  2 Nb 2.02
O8 0.0919 0.0000 0.3690 x4  1 Nb 1.81
O9 0.1020 0.0000 0.2241 x4  1 Nb 1.80
O10 0.1238 0.5000 0.6445 x4  2 Nb 1.94
O11 0.1294 0.0000 0.0734 x4  2 Nb 2.04
O12 0.1447 0.0000 0.9136 x4  2 Nb 1.92-1.95
O13 0.1687 0.0000 0.7799 x4  1 Nb 1.79
O14 0.1691 0.5000 0.3594 x4  2 Nb 2.00
O15 0.1875 0.0000 0.6377 x4  1 Nb 1.80
O16 0.1956 0.5000 0.2234 x4  1 Nb 1.82
O17 0.2085 0.0000 0.5015 x4  2 Nb 1.91-1.94
O18 0.2147 0.5000 0.0849 x4  1 Nb 1.81
O19 0.2267 0.5000 0.9390 x4  2 Nb 2.00
O20 0.2295 0.0000 0.3575 x4  2 Nb 2.00

---

*B*
Below is a geometry-optimized Nb2O5 structure, with properties calculated at the r²SCAN level.

Cell: 12.8917 4.9254 5.6338 Å, 90.00 104.45 90.00°
Closest atoms and distances in Å follow each position.
Space group C2/c (No. 15)
One atom of each set of equivalent atoms:
Nb1 0.1403 0.2423 0.2518 x8  3 O 1.82-1.97
O1 0.0000 0.1017 0.2500 x4  2 Nb 1.93
O2 0.1093 0.4463 0.9731 x8  1 Nb 1.82
O3 0.2057 0.0708 0.6275 x8  2 Nb 1.97-2.14

---

*C*
Below is a geometry-optimized Nb2O5 structure, with properties calculated at the r²SCAN level.

Cell: 7.7312 11.3910 11.5157 Å, 87.98 80.29 80.28°
Closest atoms and distances in Å follow each position.
Space group P-1 (No. 2)
One atom of each set of equivalent atoms:
Nb1 0.0783 0.2085 0.4403 x2  4 O 1.83-1.98
Nb2 0.1428 0.3190 0.1164 x2  5 O 1.83-2.05
Nb3 0.1869 0.4473 0.8008 x2  5 O 1.89-2.07
Nb4 0.1992 0.8881 0.3219 x2  4 O 1.85-2.02
Nb5 0.2515 0.9968 0.9967 x2  6 O 1.93-2.05
Nb6 0.2655 0.4154 0.5258 x2  4 O 1.85-1.94
Nb7 0.3039 0.1146 0.6748 x2  4 O 1.85-2.01
Nb8 0.3062 0.5554 0.2174 x2  4 O 1.81-2.02
Nb9 0.3603 0.6720 0.8931 x2  4 O 1.84-2.03
Nb10 0.4043 0.7905 0.5636 x2  4 O 1.80-2.01
O1 0.0000 0.0000 0.0000 x1  2 Nb 1.93
O2 0.0419 0.3614 0.5203 x2  2 Nb 1.94-1.95
O3 0.0567 0.1354 0.6352 x2  2 Nb 2.01-2.02
O4 0.0775 0.5107 0.1873 x2  2 Nb 2.00-2.01
O5 0.0998 0.2670 0.2893 x2  2 Nb 1.83-2.05
O6 0.1236 0.6330 0.8672 x2  3 Nb 2.02-2.22
O7 0.1553 0.0392 0.3940 x2  2 Nb 1.89-1.98
O8 0.1683 0.3820 0.9557 x2  2 Nb 1.90-1.95
O9 0.1704 0.8109 0.5118 x2  2 Nb 1.96-1.97
O10 0.1922 0.1643 0.0675 x2  1 Nb 1.83
O11 0.2072 0.5328 0.6391 x2  2 Nb 1.85-2.07
O12 0.2241 0.9356 0.1659 x2  2 Nb 1.85-2.04
O13 0.2447 0.3091 0.7072 x2  1 Nb 1.89
O14 0.2540 0.7073 0.2707 x2  1 Nb 1.81
O15 0.2722 0.0751 0.8333 x2  2 Nb 1.85-2.05
O16 0.2874 0.4761 0.3688 x2  2 Nb 1.90-1.93
O17 0.3075 0.8343 0.9335 x2  2 Nb 1.88-1.96
O18 0.3269 0.2075 0.4864 x2  2 Nb 2.06-2.08
O19 0.3403 0.6092 0.0435 x2  2 Nb 1.84-2.06
O20 0.3681 0.9639 0.6058 x2  2 Nb 1.87-2.01
O21 0.3735 0.3601 0.1393 x2  2 Nb 1.98-2.00
O22 0.3789 0.7350 0.7130 x2  1 Nb 1.80
O23 0.4261 0.4918 0.8112 x2  3 Nb 2.02-2.23
O24 0.4456 0.8580 0.3610 x2  2 Nb 1.99-2.00
O25 0.4814 0.6375 0.4820 x2  2 Nb 1.94-1.96
O26 0.5000 0.0000 0.0000 x1  2 Nb 1.93

---

Which of them is the most stable? Correct choice: *B*.

---

*A*
Below is a geometry-optimized Nb2O5 structure, with properties calculated at the r²SCAN level.

Cell: 5.3194 9.6463 9.9354 Å, 90.00 90.00 90.00°
Closest atoms and distances in Å follow each position.
Space group P2_12_12_1 (No. 19)
One atom of each set of equivalent atoms:
Nb1 0.1112 0.0309 0.2828 x4  4 O 1.84-1.87
Nb2 0.1118 0.6557 0.9010 x4  6 O 1.90-2.07
O1 0.0169 0.0168 0.4640 x4  2 Nb 1.87-2.02
O2 0.1094 0.2926 0.5291 x4  2 Nb 1.90-2.02
O3 0.1313 0.0936 0.7394 x4  2 Nb 1.87-1.99
O4 0.1590 0.5014 0.3294 x4  1 Nb 1.84
O5 0.2233 0.2146 0.2681 x4  2 Nb 1.87-2.02

---

*B*
Below is a geometry-optimized Nb2O5 structure, with properties calculated at the r²SCAN level.

Cell: 20.6270 20.6270 3.8406 Å, 90.00 90.00 90.00°
Closest atoms and distances in Å follow each position.
Space group I4/mmm (No. 139)
One atom of each set of equivalent atoms:
Nb1 0.0000 0.1316 0.0000 x8  4 O 1.92-1.94
Nb2 0.0000 0.4008 0.0000 x8  2 O 1.80
Nb3 0.1352 0.2665 0.0000 x16  4 O 1.80-2.00
O1 0.0000 0.1450 0.5000 x8  2 Nb 1.94
O2 0.0000 0.4339 0.5000 x8  2 Nb 2.04
O3 0.0691 0.2098 0.0000 x16  1 Nb 1.80
O4 0.0689 0.3477 0.0000 x16  1 Nb 1.80
O5 0.0698 0.0698 0.0000 x8  2 Nb 1.92
O6 0.1486 0.2900 0.5000 x16  2 Nb 2.00
O7 0.2065 0.2065 0.0000 x8  2 Nb 1.92

---

*C*
Below is a geometry-optimized Nb2O5 structure, with properties calculated at the r²SCAN level.

Cell: 13.0075 3.8588 4.0186 Å, 90.00 90.84 90.00°
Closest atoms and distances in Å follow each position.
Space group C2/m (No. 12)
One atom of each set of equivalent atoms:
Nb1 0.1465 0.0000 0.0681 x4  4 O 1.80-2.01
O1 0.0000 0.0000 0.0000 x2  2 Nb 1.92
O2 0.1490 0.0000 0.5156 x4  1 Nb 1.80
O3 0.1851 0.5000 0.0054 x4  3 Nb 2.01-2.21

---

Which of them is the most stable? Correct choice: *C*.